{
  "formula": "MgVO2",
  "functional": "PBE+U",
  "state": "relaxed",
  "e_form_mev_per_atom": -2286,
  "total_magnetization_mub_per_fu": 2.50,
  "energy_ev_per_atom": -6.6621,
  "lattice": [[5.413, -5.092, -2.736], [6.064, -2.666, -4.340], [10.030, -1.074, 2.447]],
  "species": ["Mg", "Mg", "Mg", "Mg", "V", "V", "V", "V", "O", "O", "O", "O", "O", "O", "O", "O"],
  "frac_coords": [[0.678, 0.678, 0.296], [0.322, 0.322, 0.704], [0.981, 0.981, 0.375], [0.019, 0.019, 0.625], [0.360, 0.360, 0.965], [0.840, 0.840, 0.319], [0.160, 0.160, 0.681], [0.640, 0.640, 0.035], [0.153, 0.153, 0.893], [0.538, 0.538, 0.745], [0.462, 0.462, 0.255], [0.847, 0.847, 0.107], [0.841, 0.841, 0.834], [0.204, 0.204, 0.424], [0.159, 0.159, 0.166], [0.796, 0.796, 0.576]]
}


{
  "formula": "MgV2O6",
  "functional": "PBE+U",
  "state": "relaxed",
  "e_form_mev_per_atom": -2507,
  "polymorph_energy_ev_per_atom": 0.023,
  "total_magnetization_mub_per_fu": 0.00,
  "energy_ev_per_atom": -7.1661,
  "lattice": [[2.731, -4.944, 0.000], [2.731, 4.944, 0.000], [0.000, 0.000, 5.224]],
  "species": ["Mg", "V", "V", "O", "O", "O", "O", "O", "O"],
  "frac_coords": [[0.431, 0.569, 0.000], [0.940, 0.060, 0.500], [0.061, 0.939, 0.000], [0.773, 0.778, 0.241], [0.222, 0.227, 0.759], [0.222, 0.227, 0.241], [0.773, 0.778, 0.759], [0.777, 0.223, 0.500], [0.230, 0.770, 0.000]]
}


{
  "formula": "MgV5O12",
  "functional": "PBE+U",
  "state": "relaxed",
  "e_form_mev_per_atom": -2413,
  "polymorph_energy_ev_per_atom": 0.049,
  "total_magnetization_mub_per_fu": 3.00,
  "energy_ev_per_atom": -7.3932,
  "lattice": [[6.802, -0.312, -0.134], [-1.037, 6.692, 0.058], [-1.588, 1.353, 5.576]],
  "species": ["Mg", "V", "V", "V", "V", "V", "O", "O", "O", "O", "O", "O", "O", "O", "O", "O", "O", "O"],
  "frac_coords": [[0.301, 0.280, 0.326], [0.167, 0.596, 0.742], [0.376, 0.792, 0.261], [0.673, 0.222, 0.746], [0.813, 0.400, 0.234], [0.930, 0.926, 0.264], [0.049, 0.814, 0.618], [0.976, 0.393, 0.716], [0.224, 0.996, 0.219], [0.328, 0.599, 0.549], [0.420, 0.127, 0.690], [0.294, 0.578, 0.066], [0.668, 0.388, 0.939], [0.638, 0.869, 0.300], [0.620, 0.326, 0.400], [0.802, 0.018, 0.911], [0.927, 0.646, 0.211], [0.995, 0.228, 0.310]]
}


{
  "formula": "Mg2V2O5",
  "functional": "PBE+U",
  "state": "relaxed",
  "e_form_mev_per_atom": -2485,
  "total_magnetization_mub_per_fu": 4.00,
  "energy_ev_per_atom": -6.8488,
  "lattice": [[3.509, 0.000, 0.000], [0.000, 5.819, 0.000], [0.000, 0.000, 10.843]],
  "species": ["Mg", "Mg", "Mg", "Mg", "V", "V", "V", "V", "O", "O", "O", "O", "O", "O", "O", "O", "O", "O"],
  "frac_coords": [[0.000, 0.062, 0.896], [0.000, 0.441, 0.104], [0.000, 0.559, 0.604], [0.000, 0.938, 0.396], [0.500, 0.018, 0.635], [0.500, 0.482, 0.365], [0.500, 0.982, 0.135], [0.500, 0.518, 0.865], [0.500, 0.257, 0.504], [0.500, 0.879, 0.302], [0.500, 0.378, 0.198], [0.500, 0.121, 0.802], [0.000, 0.088, 0.082], [0.000, 0.415, 0.918], [0.500, 0.622, 0.698], [0.000, 0.912, 0.582], [0.500, 0.743, 0.004], [0.000, 0.585, 0.418]]
}


{
  "formula": "MgV6O15",
  "functional": "PBE+U",
  "state": "relaxed",
  "e_form_mev_per_atom": -2343,
  "polymorph_energy_ev_per_atom": 0.039,
  "total_magnetization_mub_per_fu": 2.00,
  "energy_ev_per_atom": -7.3352,
  "lattice": [[8.238, -0.154, -2.650], [-7.350, 3.724, 2.650], [-0.367, 0.091, 10.381]],
  "species": ["Mg", "V", "V", "V", "V", "V", "V", "O", "O", "O", "O", "O", "O", "O", "O", "O", "O", "O", "O", "O", "O", "O"],
  "frac_coords": [[0.482, 0.518, 0.878], [0.125, 0.875, 0.107], [0.849, 0.151, 0.878], [0.284, 0.716, 0.413], [0.335, 0.665, 0.115], [0.667, 0.333, 0.896], [0.706, 0.294, 0.575], [0.195, 0.805, 0.957], [0.123, 0.877, 0.263], [0.239, 0.761, 0.568], [0.371, 0.629, 0.939], [0.269, 0.731, 0.226], [0.385, 0.615, 0.484], [0.427, 0.573, 0.228], [0.567, 0.433, 0.788], [0.018, 0.982, 0.992], [0.605, 0.395, 0.514], [0.732, 0.268, 0.765], [0.642, 0.358, 0.072], [0.754, 0.246, 0.424], [0.898, 0.102, 0.761], [0.817, 0.183, 0.055]]
}


{
  "formula": "MgV6O15",
  "functional": "PBE+U",
  "state": "relaxed",
  "e_form_mev_per_atom": -2383,
  "polymorph_energy_ev_per_atom": 0.000,
  "total_magnetization_mub_per_fu": 2.00,
  "energy_ev_per_atom": -7.3745,
  "lattice": [[7.586, 0.025, -2.466], [-6.690, 3.577, 2.466], [-0.099, 0.025, 10.399]],
  "species": ["Mg", "V", "V", "V", "V", "V", "V", "O", "O", "O", "O", "O", "O", "O", "O", "O", "O", "O", "O", "O", "O", "O"],
  "frac_coords": [[0.428, 0.572, 0.676], [0.122, 0.879, 0.110], [0.884, 0.117, 0.898], [0.273, 0.727, 0.403], [0.341, 0.659, 0.108], [0.666, 0.334, 0.895], [0.709, 0.292, 0.586], [0.182, 0.818, 0.939], [0.120, 0.880, 0.268], [0.244, 0.756, 0.584], [0.371, 0.629, 0.931], [0.266, 0.735, 0.209], [0.387, 0.613, 0.477], [0.441, 0.560, 0.220], [0.561, 0.439, 0.783], [0.006, 0.995, 0.009], [0.600, 0.401, 0.536], [0.737, 0.264, 0.781], [0.641, 0.360, 0.068], [0.741, 0.259, 0.423], [0.895, 0.105, 0.731], [0.819, 0.181, 0.046]]
}


{
  "formula": "MgV5O12",
  "functional": "PBE+U",
  "state": "relaxed",
  "e_form_mev_per_atom": -2412,
  "polymorph_energy_ev_per_atom": 0.050,
  "total_magnetization_mub_per_fu": 3.00,
  "energy_ev_per_atom": -7.3927,
  "lattice": [[-1.447, -0.992, -4.715], [3.009, -3.450, -2.248], [-4.554, -7.099, 3.081]],
  "species": ["Mg", "V", "V", "V", "V", "V", "O", "O", "O", "O", "O", "O", "O", "O", "O", "O", "O", "O"],
  "frac_coords": [[0.271, 0.954, 0.941], [0.063, 0.073, 0.267], [0.976, 0.557, 0.988], [0.491, 0.953, 0.518], [0.428, 0.438, 0.241], [0.593, 0.494, 0.742], [0.911, 0.285, 0.858], [0.278, 0.898, 0.651], [0.219, 0.292, 0.384], [0.278, 0.212, 0.110], [0.304, 0.561, 0.872], [0.552, 0.257, 0.634], [0.388, 0.763, 0.367], [0.741, 0.437, 0.147], [0.681, 0.823, 0.897], [0.788, 0.660, 0.597], [0.754, 0.080, 0.360], [0.126, 0.766, 0.126]]
}


{
  "formula": "MgV5O12",
  "functional": "PBE+U",
  "state": "relaxed",
  "e_form_mev_per_atom": -2462,
  "polymorph_energy_ev_per_atom": 0.000,
  "total_magnetization_mub_per_fu": 2.99,
  "energy_ev_per_atom": -7.4425,
  "lattice": [[6.792, 0.051, -0.075], [-0.679, 6.851, 0.099], [-1.459, 1.356, 5.537]],
  "species": ["Mg", "V", "V", "V", "V", "V", "O", "O", "O", "O", "O", "O", "O", "O", "O", "O", "O", "O"],
  "frac_coords": [[0.079, 0.065, 0.759], [0.204, 0.583, 0.766], [0.387, 0.779, 0.261], [0.609, 0.192, 0.764], [0.784, 0.375, 0.255], [0.914, 0.896, 0.276], [0.040, 0.808, 0.617], [0.074, 0.361, 0.768], [0.180, 0.941, 0.149], [0.369, 0.627, 0.544], [0.382, 0.076, 0.746], [0.360, 0.626, 0.057], [0.633, 0.357, 0.961], [0.623, 0.898, 0.288], [0.626, 0.332, 0.464], [0.805, 0.023, 0.889], [0.895, 0.606, 0.231], [0.956, 0.183, 0.359]]
}


{
  "formula": "Mg2V3O8",
  "functional": "PBE+U",
  "state": "relaxed",
  "e_form_mev_per_atom": -2667,
  "polymorph_energy_ev_per_atom": 0.009,
  "total_magnetization_mub_per_fu": 3.00,
  "energy_ev_per_atom": -7.2395,
  "lattice": [[2.954, -5.116, 0.000], [2.954, 5.116, 0.000], [0.000, 0.000, 9.522]],
  "species": ["Mg", "Mg", "Mg", "Mg", "V", "V", "V", "V", "V", "V", "O", "O", "O", "O", "O", "O", "O", "O", "O", "O", "O", "O", "O", "O", "O", "O"],
  "frac_coords": [[0.667, 0.333, 0.021], [0.333, 0.667, 0.521], [0.667, 0.333, 0.421], [0.333, 0.667, 0.921], [0.675, 0.837, 0.244], [0.837, 0.163, 0.744], [0.163, 0.325, 0.244], [0.837, 0.675, 0.744], [0.325, 0.163, 0.744], [0.163, 0.837, 0.244], [0.835, 0.165, 0.148], [0.670, 0.835, 0.648], [0.165, 0.330, 0.648], [0.835, 0.670, 0.148], [0.330, 0.165, 0.148], [0.165, 0.835, 0.648], [0.518, 0.482, 0.864], [0.036, 0.518, 0.364], [0.482, 0.964, 0.364], [0.518, 0.036, 0.864], [0.000, 0.000, 0.354], [0.000, 0.000, 0.854], [0.333, 0.667, 0.132], [0.964, 0.482, 0.864], [0.482, 0.518, 0.364], [0.667, 0.333, 0.632]]
}


{
  "formula": "Mg3V2O8",
  "functional": "PBE+U",
  "state": "relaxed",
  "e_form_mev_per_atom": -2741,
  "polymorph_energy_ev_per_atom": 0.019,
  "energy_ev_per_atom": -6.8682,
  "lattice": [[-5.428, 0.869, -1.932], [-4.199, -3.284, 2.352], [-3.705, 2.651, 3.632]],
  "species": ["Mg", "Mg", "Mg", "V", "V", "O", "O", "O", "O", "O", "O", "O", "O"],
  "frac_coords": [[0.500, 0.500, 0.000], [0.000, 0.500, 0.500], [0.500, 0.000, 0.500], [0.877, 0.877, 0.877], [0.123, 0.123, 0.123], [0.236, 0.773, 0.236], [0.744, 0.744, 0.744], [0.764, 0.764, 0.227], [0.227, 0.764, 0.764], [0.236, 0.236, 0.773], [0.773, 0.236, 0.236], [0.764, 0.227, 0.764], [0.256, 0.256, 0.256]]
}


{
  "formula": "MgV5O12",
  "functional": "PBE+U",
  "state": "relaxed",
  "e_form_mev_per_atom": -2437,
  "polymorph_energy_ev_per_atom": 0.025,
  "total_magnetization_mub_per_fu": 3.00,
  "energy_ev_per_atom": -7.4177,
  "lattice": [[-0.883, -2.758, 4.438], [7.890, -2.846, 7.067], [4.680, 0.561, 8.615]],
  "species": ["Mg", "V", "V", "V", "V", "V", "O", "O", "O", "O", "O", "O", "O", "O", "O", "O", "O", "O"],
  "frac_coords": [[0.790, 0.499, 0.785], [0.028, 0.009, 0.976], [0.947, 0.476, 0.052], [0.446, 0.992, 0.540], [0.529, 0.512, 0.465], [0.313, 0.989, 0.291], [0.367, 0.286, 0.123], [0.232, 0.111, 0.627], [0.108, 0.315, 0.732], [0.869, 0.190, 0.218], [0.340, 0.816, 0.113], [0.738, 0.381, 0.356], [0.217, 0.665, 0.566], [0.581, 0.184, 0.885], [0.148, 0.822, 0.694], [0.847, 0.698, 0.229], [0.727, 0.866, 0.347], [0.620, 0.690, 0.839]]
}


{
  "formula": "MgV2O6",
  "functional": "PBE+U",
  "state": "relaxed",
  "e_form_mev_per_atom": -2432,
  "polymorph_energy_ev_per_atom": 0.098,
  "total_magnetization_mub_per_fu": 0.00,
  "energy_ev_per_atom": -7.0913,
  "lattice": [[4.873, 0.000, 0.000], [0.000, 5.217, 0.000], [0.000, 0.008, 7.976]],
  "species": ["Mg", "Mg", "V", "V", "V", "V", "O", "O", "O", "O", "O", "O", "O", "O", "O", "O", "O", "O"],
  "frac_coords": [[0.937, 0.311, 0.748], [0.437, 0.689, 0.252], [0.014, 0.761, 0.549], [0.514, 0.239, 0.451], [0.460, 0.237, 0.980], [0.960, 0.763, 0.020], [0.809, 0.048, 0.934], [0.309, 0.952, 0.066], [0.743, 0.534, 0.552], [0.243, 0.466, 0.448], [0.240, 0.480, 0.065], [0.740, 0.520, 0.935], [0.317, 0.943, 0.435], [0.817, 0.057, 0.565], [0.345, 0.230, 0.778], [0.845, 0.770, 0.222], [0.126, 0.724, 0.745], [0.626, 0.276, 0.255]]
}


{
  "formula": "Mg2V3O8",
  "functional": "PBE+U",
  "state": "relaxed",
  "e_form_mev_per_atom": -2661,
  "polymorph_energy_ev_per_atom": 0.016,
  "total_magnetization_mub_per_fu": 1.00,
  "energy_ev_per_atom": -7.2328,
  "lattice": [[-0.879, 5.222, -2.813], [-5.567, 5.039, 4.703], [4.578, -0.208, 4.575]],
  "species": ["Mg", "Mg", "Mg", "Mg", "V", "V", "V", "V", "V", "V", "O", "O", "O", "O", "O", "O", "O", "O", "O", "O", "O", "O", "O", "O", "O", "O"],
  "frac_coords": [[0.828, 0.897, 0.553], [0.328, 0.397, 0.053], [0.172, 0.103, 0.447], [0.672, 0.603, 0.947], [0.750, 0.250, 0.750], [0.272, 0.000, 0.000], [0.772, 0.500, 0.500], [0.250, 0.750, 0.250], [0.228, 0.500, 0.500], [0.728, 0.000, 0.000], [0.044, 0.350, 0.438], [0.543, 0.851, 0.937], [0.957, 0.649, 0.563], [0.456, 0.150, 0.062], [0.549, 0.345, 0.443], [0.049, 0.845, 0.943], [0.451, 0.655, 0.557], [0.951, 0.155, 0.057], [0.422, 0.920, 0.314], [0.923, 0.420, 0.814], [0.972, 0.920, 0.314], [0.472, 0.420, 0.814], [0.028, 0.080, 0.686], [0.528, 0.580, 0.186], [0.578, 0.080, 0.686], [0.078, 0.580, 0.186]]
}


{
  "formula": "MgV3O6",
  "functional": "PBE+U",
  "state": "relaxed",
  "e_form_mev_per_atom": -2557,
  "polymorph_energy_ev_per_atom": 0.000,
  "total_magnetization_mub_per_fu": 5.00,
  "energy_ev_per_atom": -7.4891,
  "lattice": [[5.364, 0.091, 0.186], [1.151, 4.971, 0.053], [1.183, -2.342, 4.367]],
  "species": ["Mg", "V", "V", "V", "O", "O", "O", "O", "O", "O"],
  "frac_coords": [[0.956, 0.610, 0.331], [0.995, 0.004, 0.987], [0.496, 0.826, 0.174], [0.486, 0.187, 0.809], [0.236, 0.199, 0.186], [0.267, 0.598, 0.964], [0.283, 0.964, 0.618], [0.734, 0.405, 0.066], [0.737, 0.023, 0.375], [0.749, 0.825, 0.787]]
}


{
  "formula": "Mg2V3O8",
  "functional": "PBE+U",
  "state": "relaxed",
  "e_form_mev_per_atom": -2645,
  "polymorph_energy_ev_per_atom": 0.031,
  "total_magnetization_mub_per_fu": 3.00,
  "energy_ev_per_atom": -7.2174,
  "lattice": [[-2.888, -3.468, -1.859], [2.021, 1.268, -5.502], [6.455, -7.401, 0.664]],
  "species": ["Mg", "Mg", "Mg", "Mg", "V", "V", "V", "V", "V", "V", "O", "O", "O", "O", "O", "O", "O", "O", "O", "O", "O", "O", "O", "O", "O", "O"],
  "frac_coords": [[0.436, 0.500, 0.223], [0.932, 0.000, 0.723], [0.068, 0.000, 0.277], [0.564, 0.500, 0.777], [0.000, 0.500, 0.500], [0.500, 0.232, 0.500], [0.500, 0.768, 0.500], [0.500, 0.000, 0.000], [0.000, 0.735, 0.000], [0.000, 0.265, 0.000], [0.689, 0.000, 0.396], [0.182, 0.500, 0.894], [0.818, 0.500, 0.106], [0.311, 0.000, 0.604], [0.705, 0.500, 0.394], [0.190, 0.000, 0.892], [0.810, 0.000, 0.108], [0.295, 0.500, 0.606], [0.288, 0.223, 0.114], [0.776, 0.724, 0.618], [0.288, 0.777, 0.114], [0.776, 0.276, 0.618], [0.224, 0.724, 0.382], [0.712, 0.223, 0.886], [0.224, 0.276, 0.382], [0.712, 0.776, 0.886]]
}


{
  "formula": "MgV3O6",
  "functional": "PBE+U",
  "state": "relaxed",
  "e_form_mev_per_atom": -2517,
  "polymorph_energy_ev_per_atom": 0.041,
  "total_magnetization_mub_per_fu": 5.00,
  "energy_ev_per_atom": -7.4485,
  "lattice": [[-0.358, -2.174, 4.643], [1.358, -5.060, -0.711], [3.326, 2.691, 3.094]],
  "species": ["Mg", "V", "V", "V", "O", "O", "O", "O", "O", "O"],
  "frac_coords": [[0.342, 0.493, 0.486], [0.993, 0.030, 0.029], [0.518, 0.802, 0.147], [0.512, 0.156, 0.801], [0.228, 0.204, 0.201], [0.280, 0.616, 0.927], [0.280, 0.936, 0.616], [0.693, 0.386, 0.078], [0.700, 0.083, 0.375], [0.792, 0.810, 0.800]]
}